HoSnIr | r²SCAN | relaxed

## Properties
Total magnetic moment = 0.000 μB/cell
DFT formation energy = -91.5 kJ per mole of atoms

a b c (Å): 7.4877 7.4877 3.8539
angles (deg): 90.00 90.00 120.00
Fractional coordinates of all 9 atoms:
Ir  0.6667  0.3333  0.0000
Ho  0.5945  0.0000  0.5000
Ir  0.0000  0.0000  0.5000
Ir  0.3333  0.6667  0.0000
Sn  0.7377  0.7377  0.0000
Sn  0.2623  0.0000  0.0000
Ho  0.4055  0.4055  0.5000
Ho  0.0000  0.5945  0.5000
Sn  0.0000  0.2623  0.0000